1.
Material: AsCl3
Method: DFT, r2SCAN
State: relaxed

```
AsCl3
1.0
-3.4072 -1.6303 -2.0508
5.1033 -0.3715 -8.1836
3.5349 -10.7762 2.6935
As Cl
4 12
Direct
0.0135 0.6984 0.7861 As
0.5135 0.8016 0.2139 As
0.9865 0.1984 0.7139 As
0.4865 0.3016 0.2861 As
0.2492 0.5215 0.8654 Cl
0.7492 0.9785 0.1346 Cl
0.7508 0.0215 0.6346 Cl
0.2508 0.4785 0.3654 Cl
0.2286 0.2967 0.1242 Cl
0.7286 0.2033 0.8758 Cl
0.7714 0.7967 0.3758 Cl
0.2714 0.7033 0.6242 Cl
0.2369 0.1368 0.3777 Cl
0.7369 0.3632 0.6223 Cl
0.7631 0.6368 0.1223 Cl
0.2631 0.8632 0.8777 Cl
```

Properties
formation energy = -0.756 eV/atom
DFT total energy = -9.05 eV/atom
total magnetization = 0.0 μB per formula unit



2.
Material: U2PbSe5
Method: DFT, r2SCAN
State: relaxed

```
U2PbSe5
1.0
-3.9230 6.7946 1.2285
-1.1719 -2.1839 8.3367
10.5558 5.5406 3.0639
U Pb Se
8 4 20
Direct
0.0150 0.4998 0.8203 U
0.4850 0.4998 0.3203 U
0.4183 0.7444 0.0068 U
0.9183 0.2556 0.4932 U
0.0817 0.7444 0.5068 U
0.9850 0.5002 0.1797 U
0.5150 0.5002 0.6797 U
0.5817 0.2556 0.9932 U
0.9903 0.9682 0.8131 Pb
0.0097 0.0318 0.1869 Pb
0.5097 0.9682 0.3131 Pb
0.4903 0.0318 0.6869 Pb
0.6591 0.5486 0.9002 Se
0.8409 0.5486 0.4002 Se
0.3433 0.0374 0.0873 Se
0.6632 0.7226 0.1820 Se
0.8433 0.9626 0.4127 Se
0.4581 0.7157 0.4991 Se
0.1591 0.4514 0.5998 Se
0.1996 0.7283 0.2806 Se
0.6567 0.9626 0.9127 Se
0.9581 0.2843 0.0009 Se
0.1632 0.2774 0.3180 Se
0.6996 0.2717 0.2194 Se
0.8368 0.7226 0.6820 Se
0.1567 0.0374 0.5873 Se
0.5419 0.2843 0.5009 Se
0.0419 0.7157 0.9991 Se
0.3409 0.4514 0.0998 Se
0.3368 0.2774 0.8180 Se
0.8004 0.2717 0.7194 Se
0.3004 0.7283 0.7806 Se
```

Properties
formation energy = -1.345 eV/atom
DFT total energy = -37.31 eV/atom
total magnetization = 4.0 μB per formula unit



3.
Material: Th5Pb4
Method: DFT, r2SCAN
State: relaxed

```
Th5Pb4
1.0
1.8132 -3.0963 -5.5641
-2.6184 7.9014 -5.2502
9.1863 -0.7999 3.4387
Th Pb
10 8
Direct
0.5000 0.3333 0.6667 Th
0.5000 0.6667 0.3333 Th
0.0000 0.6667 0.3333 Th
0.0000 0.3333 0.6667 Th
0.7500 0.2809 0.0000 Th
0.7500 0.7191 0.7191 Th
0.7500 0.0000 0.2809 Th
0.2500 0.7191 0.0000 Th
0.2500 0.2809 0.2809 Th
0.2500 0.0000 0.7191 Th
0.5000 0.0000 0.0000 Pb
0.0000 0.0000 0.0000 Pb
0.7500 0.6197 0.0000 Pb
0.7500 0.3803 0.3803 Pb
0.7500 0.0000 0.6197 Pb
0.2500 0.3803 0.0000 Pb
0.2500 0.6197 0.6197 Pb
0.2500 0.0000 0.3803 Pb
```

Properties
formation energy = -0.501 eV/atom
DFT total energy = -66.34 eV/atom
total magnetization = 0.0 μB per formula unit



4.
Material: TbYb3
Method: DFT, r2SCAN
State: relaxed

```
TbYb3
1.0
5.6914 4.2651 -0.5828
-6.5707 2.7804 -0.1320
0.1322 0.5725 5.4806
Tb Yb
2 6
Direct
0.3333 0.6667 0.7500 Tb
0.6667 0.3333 0.2500 Tb
0.1664 0.3328 0.2500 Yb
0.6672 0.8336 0.2500 Yb
0.1664 0.8336 0.2500 Yb
0.8336 0.6672 0.7500 Yb
0.3328 0.1664 0.7500 Yb
0.8336 0.1664 0.7500 Yb
```

Properties
formation energy = -0.011 eV/atom
DFT total energy = -35.21 eV/atom
total magnetization = 0.0 μB per formula unit



5.
Material: Yb2CdPd2
Method: DFT, r2SCAN
State: relaxed

```
Yb2CdPd2
1.0
7.6176 0.0000 0.0000
0.0000 7.6176 0.0000
0.0000 0.0000 3.5978
Yb Cd Pd
4 2 4
Direct
0.3304 0.8304 0.5000 Yb
0.8304 0.6696 0.5000 Yb
0.1696 0.3304 0.5000 Yb
0.6696 0.1696 0.5000 Yb
0.0000 0.0000 0.0000 Cd
0.5000 0.5000 0.0000 Cd
0.3691 0.1309 0.0000 Pd
0.8691 0.3691 0.0000 Pd
0.1309 0.6309 0.0000 Pd
0.6309 0.8691 0.0000 Pd
```

Properties
formation energy = -0.863 eV/atom
DFT total energy = -28.68 eV/atom
total magnetization = 0.0 μB per formula unit



6.
Material: NdCuGe
Method: DFT, r2SCAN
State: relaxed

```
NdCuGe
1.0
-1.5521 3.1064 2.3108
-0.4864 -3.9567 1.2276
3.5762 0.2157 2.1121
Nd Cu Ge
1 1 1
Direct
0.3333 0.6667 0.0000 Nd
0.6667 0.3333 0.5000 Cu
0.0000 0.0000 0.5000 Ge
```

Properties
formation energy = -0.708 eV/atom
DFT total energy = -18.75 eV/atom
total magnetization = 0.2 μB per formula unit



7.
Material: La7C3I10
Method: DFT, r2SCAN
State: relaxed

```
La7C3I10
1.0
-6.1427 6.9354 3.3954
-8.8349 -4.2237 6.7976
4.4254 4.1026 12.8443
La C I
14 6 20
Direct
0.0440 0.4204 0.8347 La
0.8308 0.2429 0.0999 La
0.0499 0.8848 0.1751 La
0.3775 0.9280 0.6415 La
0.7463 0.9506 0.0786 La
0.2537 0.0494 0.9214 La
0.8681 0.7231 0.4141 La
0.1319 0.2769 0.5859 La
0.9501 0.1152 0.8249 La
0.5402 0.7932 0.3078 La
0.9560 0.5796 0.1653 La
0.4598 0.2068 0.6922 La
0.6225 0.0720 0.3585 La
0.1692 0.7571 0.9001 La
0.1681 0.2264 0.7689 C
0.9615 0.0566 0.0226 C
0.7548 0.8871 0.2763 C
0.2452 0.1129 0.7237 C
0.0385 0.9434 0.9774 C
0.8319 0.7736 0.2311 C
0.0440 0.4332 0.3635 I
0.1437 0.3049 0.0422 I
0.6047 0.0791 0.8783 I
0.6472 0.5227 0.2243 I
0.4355 0.3436 0.4782 I
0.5645 0.6564 0.5218 I
0.2823 0.0468 0.4313 I
0.3953 0.9209 0.1217 I
0.8563 0.6951 0.9578 I
0.1883 0.7531 0.3748 I
0.7143 0.3926 0.9081 I
0.3528 0.4773 0.7757 I
0.2857 0.6074 0.0919 I
0.9296 0.1324 0.3035 I
0.0704 0.8676 0.6965 I
0.4986 0.2200 0.1689 I
0.7177 0.9532 0.5687 I
0.9560 0.5668 0.6365 I
0.8117 0.2469 0.6252 I
0.5014 0.7800 0.8311 I
```

Properties
formation energy = -1.474 eV/atom
DFT total energy = -25.66 eV/atom
total magnetization = 0.4 μB per formula unit



8.
Material: Y4C7
Method: DFT, r2SCAN
State: relaxed

```
Y4C7
1.0
-1.0153 -2.8707 -2.1117
12.0045 -1.7233 -3.4291
2.2491 -7.1609 11.4723
Y C
16 28
Direct
0.3062 0.5151 0.6077 Y
0.8062 0.9849 0.1077 Y
0.6938 0.4849 0.3923 Y
0.1938 0.0151 0.8923 Y
0.7575 0.5392 0.8815 Y
0.2575 0.9608 0.3815 Y
0.2425 0.4608 0.1185 Y
0.7425 0.0392 0.6185 Y
0.8421 0.3044 0.7106 Y
0.3421 0.1956 0.2106 Y
0.1579 0.6956 0.2894 Y
0.6579 0.8044 0.7894 Y
0.2283 0.2628 0.4926 Y
0.7283 0.2372 0.9926 Y
0.7717 0.7372 0.5074 Y
0.2717 0.7628 0.0074 Y
0.6571 0.1408 0.8248 C
0.1571 0.3592 0.3248 C
0.3429 0.8592 0.1752 C
0.8429 0.6408 0.6752 C
0.1976 0.3898 0.9519 C
0.6976 0.1102 0.4519 C
0.8024 0.6102 0.0481 C
0.3024 0.8898 0.5481 C
0.3601 0.4167 0.7713 C
0.8601 0.0833 0.2713 C
0.6399 0.5833 0.2287 C
0.1399 0.9167 0.7287 C
0.2764 0.1710 0.6525 C
0.7764 0.3290 0.1525 C
0.7236 0.8290 0.3475 C
0.2236 0.6710 0.8475 C
0.2749 0.3957 0.8605 C
0.7749 0.1043 0.3605 C
0.7251 0.6043 0.1395 C
0.2251 0.8957 0.6395 C
0.4392 0.1516 0.7434 C
0.9392 0.3484 0.2434 C
0.5608 0.8484 0.2566 C
0.0608 0.6516 0.7566 C
0.2413 0.6167 0.4499 C
0.7413 0.8833 0.9499 C
0.7587 0.3833 0.5501 C
0.2587 0.1167 0.0501 C
```

Properties
formation energy = -0.456 eV/atom
excess energy over the best structure of this formula in the dataset = 0 meV/atom
DFT total energy = -14.17 eV/atom
total magnetization = 0.0 μB per formula unit



9.
Material: LiZn2Au
Method: DFT, r2SCAN
State: relaxed

```
LiZn2Au
1.0
1.1476 -2.2838 -3.5214
1.9991 -3.8382 0.4525
-2.1036 -3.6785 -0.9881
Li Zn Au
1 2 1
Direct
0.7500 0.7500 0.7500 Li
0.0000 0.0000 0.0000 Zn
0.5000 0.5000 0.5000 Zn
0.2500 0.2500 0.2500 Au
```

Properties
formation energy = -0.392 eV/atom
DFT total energy = -18.09 eV/atom
total magnetization = 0.0 μB per formula unit



10.
Material: Sr28In11
Method: DFT, r2SCAN
State: relaxed

```
Sr28In11
1.0
-3.5411 4.0622 -2.2427
3.6042 -0.9092 -7.3388
-22.3402 -25.4281 -3.2161
Sr In
28 11
Direct
0.8238 0.6546 0.6476 Sr
0.2377 0.9853 0.4752 Sr
0.2244 0.4386 0.4487 Sr
0.8632 0.0733 0.7262 Sr
0.1368 0.3471 0.2738 Sr
0.5961 0.2555 0.1921 Sr
0.3532 0.3842 0.7066 Sr
0.2940 0.3622 0.5878 Sr
0.7625 0.5100 0.5248 Sr
0.9562 0.5777 0.9125 Sr
0.7756 0.9898 0.5513 Sr
0.5831 0.7167 0.1662 Sr
0.7062 0.7744 0.4122 Sr
0.6819 0.3284 0.3641 Sr
0.9405 0.0149 0.8809 Sr
0.3180 0.9643 0.6359 Sr
0.1172 0.8882 0.2346 Sr
0.0596 0.1340 0.1191 Sr
0.5000 0.6876 0.0001 Sr
0.0000 0.0024 0.0001 Sr
0.0438 0.6652 0.0875 Sr
0.4701 0.2582 0.9402 Sr
0.5300 0.3182 0.0599 Sr
0.1762 0.0068 0.3524 Sr
0.6467 0.6775 0.2934 Sr
0.8826 0.6537 0.7653 Sr
0.4039 0.0634 0.8078 Sr
0.4168 0.5505 0.8338 Sr
0.0910 0.4981 0.1818 In
0.0002 0.4108 0.0000 In
0.2731 0.7255 0.5468 In
0.3611 0.7971 0.7216 In
0.6391 0.0751 0.2784 In
0.9091 0.3162 0.8182 In
0.7266 0.1787 0.4531 In
0.1799 0.6027 0.3601 In
0.5431 0.9339 0.0861 In
0.4569 0.8475 0.9138 In
0.8198 0.2426 0.6398 In
```

Properties
formation energy = -0.361 eV/atom
DFT total energy = -17.60 eV/atom
total magnetization = 0.4 μB per formula unit



11.
Material: BaP2N4
Method: DFT, r2SCAN
State: relaxed

```
BaP2N4
1.0
10.2698 0.0000 0.0000
0.0000 10.2698 0.0000
0.0000 0.0000 10.2698
Ba P N
12 24 48
Direct
0.3679 0.1321 0.8679 Ba
0.1321 0.8679 0.3679 Ba
0.8679 0.3679 0.1321 Ba
0.6321 0.6321 0.6321 Ba
0.6321 0.8679 0.1321 Ba
0.8679 0.1321 0.6321 Ba
0.1321 0.6321 0.8679 Ba
0.3679 0.3679 0.3679 Ba
0.0000 0.5000 0.5000 Ba
0.5000 0.5000 0.0000 Ba
0.5000 0.0000 0.5000 Ba
0.0000 0.0000 0.0000 Ba
0.6846 0.3336 0.3924 P
0.1846 0.1664 0.6076 P
0.3154 0.8336 0.1076 P
0.1664 0.6076 0.1846 P
0.1076 0.3154 0.8336 P
0.6076 0.1846 0.1664 P
0.3336 0.3924 0.6846 P
0.3924 0.6846 0.3336 P
0.8336 0.1076 0.3154 P
0.6664 0.8924 0.8154 P
0.8924 0.8154 0.6664 P
0.8154 0.6664 0.8924 P
0.3154 0.6664 0.6076 P
0.8154 0.8336 0.3924 P
0.6846 0.1664 0.8924 P
0.8336 0.3924 0.8154 P
0.8924 0.6846 0.1664 P
0.3924 0.8154 0.8336 P
0.6664 0.6076 0.3154 P
0.6076 0.3154 0.6664 P
0.1664 0.8924 0.6846 P
0.3336 0.1076 0.1846 P
0.1076 0.1846 0.3336 P
0.1846 0.3336 0.1076 P
0.7192 0.4887 0.4078 N
0.2192 0.0113 0.5922 N
0.2808 0.9887 0.0922 N
0.0113 0.5922 0.2192 N
0.0922 0.2808 0.9887 N
0.5922 0.2192 0.0113 N
0.4887 0.4078 0.7192 N
0.4078 0.7192 0.4887 N
0.9887 0.0922 0.2808 N
0.5113 0.9078 0.7808 N
0.9078 0.7808 0.5113 N
0.7808 0.5113 0.9078 N
0.2808 0.5113 0.5922 N
0.7808 0.9887 0.4078 N
0.7192 0.0113 0.9078 N
0.9887 0.4078 0.7808 N
0.9078 0.7192 0.0113 N
0.4078 0.7808 0.9887 N
0.5113 0.5922 0.2808 N
0.5922 0.2808 0.5113 N
0.1809 0.7508 0.6111 N
0.0113 0.9078 0.7192 N
0.0922 0.2192 0.4887 N
0.2192 0.4887 0.0922 N
0.8191 0.2492 0.3889 N
0.3191 0.2508 0.6111 N
0.1809 0.7492 0.1111 N
0.2508 0.6111 0.3191 N
0.1111 0.1809 0.7492 N
0.6111 0.3191 0.2508 N
0.2492 0.3889 0.8191 N
0.3889 0.8191 0.2492 N
0.7492 0.1111 0.1809 N
0.7508 0.8889 0.6809 N
0.8889 0.6809 0.7508 N
0.6809 0.7508 0.8889 N
0.3191 0.2492 0.1111 N
0.1111 0.3191 0.2492 N
0.2492 0.1111 0.3191 N
0.2508 0.8889 0.8191 N
0.6111 0.1809 0.7508 N
0.7508 0.6111 0.1809 N
0.3889 0.6809 0.7492 N
0.8889 0.8191 0.2508 N
0.7492 0.3889 0.6809 N
0.8191 0.2508 0.8889 N
0.6809 0.7492 0.3889 N
0.4887 0.0922 0.2192 N
```

Properties
formation energy = -1.068 eV/atom
DFT total energy = -12.64 eV/atom
total magnetization = 0.0 μB per formula unit



12.
Material: K2CO3
Method: DFT, r2SCAN
State: relaxed

```
K2CO3
1.0
5.7421 0.0000 0.0000
-2.8711 4.9728 0.0000
0.0000 0.0000 6.8159
K C O
4 2 6
Direct
0.6667 0.3333 0.7500 K
0.3333 0.6667 0.2500 K
0.0000 0.0000 0.5000 K
0.0000 0.0000 0.0000 K
0.3333 0.6667 0.7500 C
0.6667 0.3333 0.2500 C
0.5938 0.7969 0.7500 O
0.4062 0.2031 0.2500 O
0.7969 0.5938 0.2500 O
0.2031 0.7969 0.7500 O
0.2031 0.4062 0.7500 O
0.7969 0.2031 0.2500 O
```

Properties
formation energy = -1.888 eV/atom
DFT total energy = -8.54 eV/atom
total magnetization = 0.0 μB per formula unit